10
Lattice="7.1378 0.0000 0.0000 1.6582 6.9678 0.0000 0.3735 0.3276 7.3044" Properties=species:S:1:pos:R:3 comment="r2SCAN UBr4, relaxed" crystal_system=triclinic magnetic_moment_mub_per_cell=4.0 formation_energy_ev_per_atom=-1.675 pbc="T T T"
U 1.7565 1.3934 0.4451
U 7.4130 5.9020 6.8592
Br 0.7715 0.6337 5.5296
Br 2.4788 4.1601 6.1917
Br 2.9984 2.3870 2.5649
Br 4.6171 5.8375 1.1558
Br 4.5523 1.4579 6.1486
Br 6.1711 4.9084 4.7395
Br 6.6906 3.1353 1.1127
Br 8.3980 6.6617 1.7748

8
Lattice="8.0167 0.0000 0.0000 0.0000 4.4253 0.0000 -3.9236 0.0000 6.9942" Properties=species:S:1:pos:R:3 comment="r2SCAN UBr3, relaxed" crystal_system=monoclinic magnetic_moment_mub_per_cell=6.0 formation_energy_ev_per_atom=-1.814 pbc="T T T"
U 0.0350 1.1063 2.3067
U 4.0581 3.3190 4.6874
Br -2.6741 1.1063 6.3834
Br -0.8130 3.3190 4.2537
Br 2.1376 3.3190 2.1117
Br 1.9555 1.1063 4.8825
Br 4.9060 1.1063 2.7404
Br 6.7672 3.3190 0.6108

12
Lattice="6.9071 0.0000 0.0000 -3.3221 6.7435 0.0000 -0.1164 -3.7183 9.6639" Properties=species:S:1:pos:R:3 comment="r2SCAN UBr5, relaxed" crystal_system=triclinic magnetic_moment_mub_per_cell=2.0 formation_energy_ev_per_atom=-1.475 pbc="T T T"
U -0.0164 0.6458 2.0830
U 3.4850 2.3793 7.5809
Br -2.2677 3.3912 5.4587
Br -1.2935 0.9476 8.1660
Br 0.9762 -2.2711 9.2255
Br 2.1092 -0.8587 2.4477
Br 1.1206 2.6996 3.2594
Br 2.3481 0.3255 6.4045
Br 1.3595 3.8839 7.2162
Br 2.4925 5.2963 0.4384
Br 4.7621 2.0776 1.4979
Br 5.7363 -0.3660 4.2052

8
Lattice="5.0289 -8.4433 0.0000 5.0289 8.4433 0.0000 0.0000 0.0000 3.3879" Properties=species:S:1:pos:R:3 comment="r2SCAN VBr3, relaxed" crystal_system=orthorhombic magnetic_moment_mub_per_cell=4.0 formation_energy_ev_per_atom=-1.039 pbc="T T T"
V 5.0289 5.6774 2.5410
V 5.0289 -5.6774 0.8470
Br 1.7181 1.8894 2.5410
Br 5.0289 3.7340 0.8470
Br 1.7181 -1.8894 0.8470
Br 8.3397 1.8894 2.5410
Br 5.0289 -3.7340 2.5410
Br 8.3397 -1.8894 0.8470